Density functional theory data (PBE) for an optimized crystal structure of NaAs.

a b c (Å): 3.0279 3.0279 4.4984
angles (deg): 90.00 90.00 90.00
Fractional positions:
Na  0.0000  0.0000  0.0000
As  0.5000  0.5000  0.5000

- magnetic moment (μB/f.u.) = 0.0
- V (Å³ per cell) = 41.2
- excess energy over the best structure of this formula in the dataset (kJ/mol of formula units) = 29
- symmetry = P4/mmm, No. 123
- formation enthalpy at 0 K (eV/atom) = -0.23



Density functional theory data (PBE) for an optimized crystal structure of NaNb2AsO8.

a b c (Å): 8.7597 4.9817 15.3517
angles (deg): 79.85 90.00 90.00
Fractional positions:
Na  0.0219  0.4630  0.6193
Na  0.5219  0.5370  0.8807
Na  0.9781  0.5370  0.3807
Na  0.4781  0.4630  0.1193
Nb  0.7930  0.9488  0.0190
Nb  0.2070  0.0512  0.9810
Nb  0.2930  0.0512  0.4810
Nb  0.7070  0.9488  0.5190
Nb  0.5712  0.5459  0.3607
Nb  0.9288  0.5459  0.8607
Nb  0.0712  0.4541  0.1393
Nb  0.4288  0.4541  0.6393
As  0.7389  0.1100  0.7344
As  0.2389  0.8900  0.7656
As  0.7611  0.1100  0.2344
As  0.2611  0.8900  0.2656
O  0.6247  0.7770  0.9956
O  0.5576  0.2299  0.7463
O  0.3792  0.6739  0.7424
O  0.1208  0.6739  0.2424
O  0.0482  0.1850  0.0625
O  0.8922  0.6521  0.1074
O  0.3753  0.2230  0.0044
O  0.7129  0.3038  0.4334
O  0.1078  0.3479  0.8926
O  0.8792  0.3261  0.7576
O  0.2440  0.2055  0.7008
O  0.7834  0.1027  0.6246
O  0.8753  0.7770  0.4956
O  0.6078  0.6521  0.6074
O  0.4518  0.1850  0.5625
O  0.2129  0.6962  0.0666
O  0.2871  0.6962  0.5666
O  0.2166  0.8973  0.3754
O  0.7560  0.7945  0.2992
O  0.9424  0.2299  0.2463
O  0.0576  0.7701  0.7537
O  0.1247  0.2230  0.5044
O  0.4424  0.7701  0.2537
O  0.2560  0.2055  0.2008
O  0.7166  0.1027  0.1246
O  0.6208  0.3261  0.2576
O  0.7871  0.3038  0.9334
O  0.5482  0.8150  0.4375
O  0.9518  0.8150  0.9375
O  0.7440  0.7945  0.7992
O  0.2834  0.8973  0.8754
O  0.3922  0.3479  0.3926

- magnetic moment (μB/f.u.) = 0.0
- V (Å³ per cell) = 659.4
- symmetry = P2_1/c, No. 14
- formation enthalpy at 0 K (eV/atom) = -2.58



Density functional theory data (PBE) for an optimized crystal structure of Na3NbAs2O9.

a b c (Å): 8.6837 9.8285 10.8261
angles (deg): 70.90 90.00 90.00
Fractional positions:
Na  0.4522  0.8343  0.4927
Na  0.9522  0.1657  0.0073
Na  0.5478  0.1657  0.5073
Na  0.0478  0.8343  0.9927
Na  0.7635  0.7996  0.6462
Na  0.2635  0.2004  0.8538
Na  0.2365  0.2004  0.3538
Na  0.7365  0.7996  0.1462
Na  0.5458  0.4669  0.7582
Na  0.0458  0.5331  0.7418
Na  0.4542  0.5331  0.2418
Na  0.9542  0.4669  0.2582
Nb  0.0771  0.7799  0.3854
Nb  0.5771  0.2201  0.1146
Nb  0.9229  0.2201  0.6146
Nb  0.4229  0.7799  0.8854
As  0.2389  0.4265  0.0259
As  0.7389  0.5735  0.4741
As  0.7611  0.5735  0.9741
As  0.2611  0.4265  0.5259
As  0.1761  0.9316  0.6394
As  0.6761  0.0684  0.8606
As  0.8239  0.0684  0.3606
As  0.3239  0.9316  0.1394
O  0.0008  0.9819  0.3708
O  0.5008  0.0181  0.1292
O  0.9992  0.0181  0.6292
O  0.4992  0.9819  0.8708
O  0.9976  0.7751  0.2356
O  0.4976  0.2249  0.2644
O  0.0024  0.2249  0.7644
O  0.5024  0.7751  0.7356
O  0.7158  0.5866  0.3158
O  0.2158  0.4134  0.1842
O  0.2842  0.4134  0.6842
O  0.7842  0.5866  0.8158
O  0.1479  0.7811  0.5951
O  0.6479  0.2189  0.9049
O  0.8521  0.2189  0.4049
O  0.3521  0.7811  0.0951
O  0.2831  0.8825  0.3068
O  0.7831  0.1175  0.1932
O  0.7169  0.1175  0.6932
O  0.2169  0.8825  0.8068
O  0.6850  0.9629  0.4528
O  0.1850  0.0371  0.0472
O  0.3150  0.0371  0.5472
O  0.8150  0.9629  0.9528
O  0.5921  0.6238  0.5508
O  0.0921  0.3762  0.9492
O  0.4079  0.3762  0.4492
O  0.9079  0.6238  0.0508
O  0.9007  0.6722  0.4998
O  0.4007  0.3278  0.0002
O  0.0993  0.3278  0.5002
O  0.5993  0.6722  0.9998
O  0.2055  0.6007  0.4342
O  0.7055  0.3993  0.0658
O  0.7945  0.3993  0.5658
O  0.2945  0.6007  0.9342

- V (Å³ per cell) = 873.1
- excess energy over the best structure of this formula in the dataset (kJ/mol of formula units) = 0
- symmetry = P2_1/c, No. 14
- formation enthalpy at 0 K (eV/atom) = -2.22



Density functional theory data (PBE) for an optimized crystal structure of Na3NbAs2O9.

a b c (Å): 9.5327 10.4899 12.4464
angles (deg): 58.94 90.00 90.00
Fractional positions:
Na  0.9364  0.2003  0.1481
Na  0.2782  0.4711  0.8550
Na  0.2218  0.4711  0.3550
Na  0.7218  0.5289  0.1450
Na  0.4364  0.7997  0.3519
Na  0.7782  0.5289  0.6450
Na  0.1332  0.1360  0.8478
Na  0.8668  0.8640  0.1522
Na  0.6332  0.8640  0.6522
Na  0.0636  0.7997  0.8519
Na  0.5636  0.2003  0.6481
Na  0.3668  0.1360  0.3478
Nb  0.3935  0.7325  0.9691
Nb  0.8935  0.2675  0.5309
Nb  0.6065  0.2675  0.0309
Nb  0.1065  0.7325  0.4691
As  0.8290  0.8820  0.3889
As  0.2824  0.8280  0.6108
As  0.1710  0.1180  0.6111
As  0.2176  0.8280  0.1108
As  0.6710  0.8820  0.8889
As  0.7176  0.1720  0.3892
As  0.7824  0.1720  0.8892
As  0.3290  0.1180  0.1111
O  0.4251  0.3034  0.4144
O  0.5198  0.5540  0.0165
O  0.5992  0.7692  0.0401
O  0.9251  0.6966  0.0856
O  0.0749  0.3034  0.9144
O  0.4152  0.1638  0.5200
O  0.4008  0.2308  0.9599
O  0.5749  0.6966  0.5856
O  0.2523  0.9057  0.9446
O  0.0848  0.1638  0.0200
O  0.1802  0.6642  0.6481
O  0.4802  0.4460  0.9835
O  0.5848  0.8362  0.4800
O  0.2704  0.6613  0.9011
O  0.3559  0.9264  0.1442
O  0.2477  0.9057  0.4446
O  0.9152  0.8362  0.9800
O  0.7296  0.3387  0.0989
O  0.8198  0.3358  0.3519
O  0.6441  0.0736  0.8558
O  0.7477  0.0943  0.0554
O  0.9008  0.7692  0.5401
O  0.0992  0.2308  0.4599
O  0.3198  0.6642  0.1481
O  0.6802  0.3358  0.8519
O  0.4978  0.1177  0.1872
O  0.5022  0.8823  0.8128
O  0.9802  0.5540  0.5165
O  0.7523  0.0943  0.5554
O  0.2296  0.6613  0.4011
O  0.0022  0.1177  0.6872
O  0.1441  0.9264  0.6442
O  0.8559  0.0736  0.3558
O  0.9978  0.8823  0.3128
O  0.7704  0.3387  0.5989
O  0.0198  0.4460  0.4835

- magnetic moment (μB/f.u.) = 1.0
- V (Å³ per cell) = 1066.2
- excess energy over the best structure of this formula in the dataset (kJ/mol of formula units) = 963
- symmetry = P2_1/c, No. 14
- formation enthalpy at 0 K (eV/atom) = -1.56



Density functional theory data (PBE) for an optimized crystal structure of Na5As2O18.

a b c (Å): 7.4390 7.2805 15.2907
angles (deg): 75.46 90.00 90.00
Fractional positions:
Na  0.0000  0.5000  0.0000
Na  0.0000  0.5000  0.5000
Na  0.0341  0.3040  0.7260
Na  0.9659  0.6960  0.2740
Na  0.0341  0.6960  0.7740
Na  0.9659  0.3040  0.2260
Na  0.6555  0.1485  0.9092
Na  0.3445  0.8515  0.0908
Na  0.6555  0.8515  0.5908
Na  0.3445  0.1485  0.4092
As  0.3280  0.9125  0.8608
As  0.6720  0.0875  0.1392
As  0.3280  0.0875  0.6392
As  0.6720  0.9125  0.3608
O  0.5636  0.5022  0.9743
O  0.4364  0.4978  0.0257
O  0.5636  0.4978  0.5257
O  0.4364  0.5022  0.4743
O  0.9877  0.0707  0.9684
O  0.0123  0.9293  0.0316
O  0.9877  0.9293  0.5316
O  0.0123  0.0707  0.4684
O  0.8987  0.3977  0.8495
O  0.1013  0.6023  0.1505
O  0.8987  0.6023  0.6505
O  0.1013  0.3977  0.3495
O  0.2189  0.0000  0.7500
O  0.7811  0.0000  0.2500
O  0.8249  0.9877  0.7112
O  0.1751  0.0123  0.2888
O  0.8249  0.0123  0.7888
O  0.1751  0.9877  0.2112
O  0.3725  0.5000  0.7500
O  0.6275  0.5000  0.2500
O  0.5428  0.4620  0.7986
O  0.4572  0.5380  0.2014
O  0.5428  0.5380  0.7014
O  0.4572  0.4620  0.2986
O  0.1795  0.7355  0.9061
O  0.8205  0.2645  0.0939
O  0.1795  0.2645  0.5939
O  0.8205  0.7355  0.4061
O  0.5410  0.8377  0.8475
O  0.4590  0.1623  0.1525
O  0.5410  0.1623  0.6525
O  0.4590  0.8377  0.3475
O  0.3396  0.0940  0.9123
O  0.6604  0.9060  0.0877
O  0.3396  0.9060  0.5877
O  0.6604  0.0940  0.4123

- magnetic moment (μB/f.u.) = 7.4
- V (Å³ per cell) = 801.6
- excess energy over the best structure of this formula in the dataset (kJ/mol of formula units) = 721
- symmetry = P2/c, No. 13
- formation enthalpy at 0 K (eV/atom) = -0.55



Density functional theory data (PBE) for an optimized crystal structure of Na5As2O18.

a b c (Å): 7.6451 8.0353 15.8508
angles (deg): 71.91 90.00 90.00
Fractional positions:
Na  0.0000  0.5000  0.0000
Na  0.0000  0.5000  0.5000
Na  0.0183  0.7718  0.2647
Na  0.9817  0.2282  0.7353
Na  0.0183  0.2282  0.2353
Na  0.9817  0.7718  0.7647
Na  0.6204  0.8736  0.0695
Na  0.3796  0.1264  0.9305
Na  0.6204  0.1264  0.4305
Na  0.3796  0.8736  0.5695
As  0.3313  0.1352  0.1446
As  0.6687  0.8648  0.8554
As  0.3313  0.8648  0.3554
As  0.6687  0.1352  0.6446
O  0.5544  0.5200  0.0238
O  0.4456  0.4800  0.9762
O  0.5544  0.4800  0.4762
O  0.4456  0.5200  0.5238
O  0.9998  0.9299  0.0304
O  0.0002  0.0701  0.9696
O  0.9998  0.0701  0.4696
O  0.0002  0.9299  0.5304
O  0.8980  0.5705  0.1415
O  0.1020  0.4295  0.8585
O  0.8980  0.4295  0.3585
O  0.1020  0.5705  0.6415
O  0.2231  0.0000  0.2500
O  0.7769  0.0000  0.7500
O  0.7777  0.9920  0.2910
O  0.2223  0.0080  0.7090
O  0.7777  0.0080  0.2090
O  0.2223  0.9920  0.7910
O  0.0145  0.5000  0.2500
O  0.9855  0.5000  0.7500
O  0.7411  0.6046  0.1554
O  0.2589  0.3954  0.8446
O  0.7411  0.3954  0.3446
O  0.2589  0.6046  0.6554
O  0.1593  0.2749  0.1036
O  0.8407  0.7251  0.8964
O  0.1593  0.7251  0.3964
O  0.8407  0.2749  0.6036
O  0.5139  0.2222  0.1732
O  0.4861  0.7778  0.8268
O  0.5139  0.7778  0.3268
O  0.4861  0.2222  0.6732
O  0.3666  0.0012  0.0811
O  0.6334  0.9988  0.9189
O  0.3666  0.9988  0.4189
O  0.6334  0.0012  0.5811

- magnetic moment (μB/f.u.) = 9.0
- V (Å³ per cell) = 925.6
- excess energy over the best structure of this formula in the dataset (kJ/mol of formula units) = 0
- symmetry = P2/c, No. 13
- formation enthalpy at 0 K (eV/atom) = -0.85



Density functional theory data (PBE) for an optimized crystal structure of NaAsO3.

a b c (Å): 7.4572 7.6152 8.2612
angles (deg): 103.79 92.64 90.32
Fractional positions:
Na  0.7559  0.5752  0.7968
Na  0.2441  0.4248  0.2032
Na  0.7471  0.0578  0.7784
Na  0.2529  0.9422  0.2216
Na  0.9824  0.2536  0.5116
Na  0.0176  0.7464  0.4884
As  0.5509  0.7210  0.3863
As  0.4491  0.2790  0.6137
As  0.7778  0.9530  0.1713
As  0.2222  0.0470  0.8287
As  0.7732  0.3782  0.1739
As  0.2268  0.6218  0.8261
O  0.6794  0.1713  0.2030
O  0.2980  0.2326  0.4530
O  0.3285  0.7296  0.4039
O  0.6715  0.2704  0.5961
O  0.5805  0.8582  0.2381
O  0.4195  0.1418  0.7619
O  0.0495  0.5547  0.6922
O  0.9505  0.4453  0.3078
O  0.0473  0.0436  0.6928
O  0.9527  0.9564  0.3072
O  0.2159  0.6338  0.0292
O  0.5749  0.4992  0.2523
O  0.2056  0.1333  0.0331
O  0.7944  0.8667  0.9669
O  0.3206  0.8287  0.7970
O  0.7841  0.3662  0.9708
O  0.4251  0.5008  0.7477
O  0.7020  0.7674  0.5470

- V (Å³ per cell) = 455.1
- symmetry = P-1, No. 2
- formation enthalpy at 0 K (eV/atom) = -1.89



Density functional theory data (PBE) for an optimized crystal structure of NaAs2O4.

a b c (Å): 12.1440 12.1440 15.9697
angles (deg): 58.94 58.94 35.20
Fractional positions:
Na  0.0640  0.9556  0.6094
Na  0.0444  0.9360  0.8906
Na  0.9360  0.0444  0.3906
Na  0.9556  0.0640  0.1094
Na  0.4858  0.4730  0.6197
Na  0.5270  0.5142  0.8803
Na  0.5142  0.5270  0.3803
Na  0.4730  0.4858  0.1197
As  0.6164  0.1151  0.3468
As  0.8849  0.3836  0.1532
As  0.3836  0.8849  0.6532
As  0.1151  0.6164  0.8468
As  0.3803  0.3310  0.5292
As  0.6690  0.6197  0.9708
As  0.6197  0.6690  0.4708
As  0.3310  0.3803  0.0292
As  0.7502  0.9297  0.6500
As  0.0703  0.2498  0.8500
As  0.2498  0.0703  0.3500
As  0.9297  0.7502  0.1500
As  0.6850  0.0732  0.8134
As  0.9268  0.3150  0.6866
As  0.3150  0.9268  0.1866
As  0.0732  0.6850  0.3134
O  0.6645  0.1963  0.2258
O  0.8037  0.3355  0.2742
O  0.3355  0.8037  0.7742
O  0.1963  0.6645  0.7258
O  0.5546  0.2601  0.4104
O  0.7399  0.4454  0.0896
O  0.4454  0.7399  0.5896
O  0.2601  0.5546  0.9104
O  0.3839  0.4568  0.5430
O  0.5432  0.6161  0.9570
O  0.6161  0.5432  0.4570
O  0.4568  0.3839  0.0430
O  0.5280  0.0856  0.6187
O  0.9144  0.4720  0.8813
O  0.4720  0.9144  0.3813
O  0.0856  0.5280  0.1187
O  0.8643  0.9846  0.5686
O  0.0154  0.1357  0.9314
O  0.1357  0.0154  0.4314
O  0.9846  0.8643  0.0686
O  0.6889  0.9463  0.7755
O  0.0537  0.3111  0.7245
O  0.3111  0.0537  0.2245
O  0.9463  0.6889  0.2755
O  0.7367  0.1723  0.7027
O  0.8277  0.2633  0.7973
O  0.2633  0.8277  0.2973
O  0.1723  0.7367  0.2027
O  0.8882  0.8748  0.8759
O  0.1252  0.1118  0.6241
O  0.1118  0.1252  0.1241
O  0.8748  0.8882  0.3759

- magnetic moment (μB/f.u.) = 0.0
- V (Å³ per cell) = 1141.6
- symmetry = C2/c, No. 15
- formation enthalpy at 0 K (eV/atom) = -1.61